No. 1
The following is a PBE calculation of Ta4Cr after structural relaxation, from the Materials Project.

Energy of formation: 6.9 eV/f.u.
Size of the total moment: 0.38 μB/cell

Cell: 6.532 6.532 6.532 Å, 60.00 60.00 60.00°
Positions (direct):
Ta 0.143 0.143 0.143
Ta 0.607 0.607 0.607
Ta 0.180 0.607 0.607
Ta 0.607 0.180 0.607
Ta 0.143 0.570 0.143
Ta 0.607 0.607 0.180
Ta 0.143 0.143 0.570
Ta 0.570 0.143 0.143
Cr 0.750 0.750 0.750
Cr 0.000 0.000 0.000

***

No. 2
The following is a PBE calculation of TaCr2 after structural relaxation, from the Materials Project.

Energy of formation: -0.3 eV/f.u.
Energy above the lowest structure with this stoichiometry: 0 meV per atom

Cell: 4.905 4.905 4.905 Å, 60.00 60.00 60.00°
Positions (direct):
Cr 0.125 0.625 0.125
Cr 0.625 0.125 0.125
Cr 0.125 0.125 0.125
Cr 0.125 0.125 0.625
Ta 0.750 0.750 0.750
Ta 0.500 0.500 0.500

***

No. 3
The following is a PBE calculation of TaCr2 after structural relaxation, from the Materials Project.

Energy of formation: -0.3 eV/f.u.
Energy above the lowest structure with this stoichiometry: 13 meV per atom

Cell: 4.902 4.902 8.044 Å, 90.00 90.00 120.00°
Positions (direct):
Ta 0.667 0.333 0.561
Ta 0.667 0.333 0.939
Ta 0.333 0.667 0.439
Ta 0.333 0.667 0.061
Cr 0.000 0.000 0.500
Cr 0.830 0.661 0.250
Cr 0.339 0.170 0.250
Cr 0.830 0.170 0.250
Cr 0.170 0.830 0.750
Cr 0.000 0.000 0.000
Cr 0.170 0.339 0.750
Cr 0.661 0.830 0.750

***

No. 4
The following is a PBE calculation of Ta4CrTe4 after structural relaxation, from the Materials Project.

Energy of formation: -4.8 eV/f.u.
Corrected total energy (MP2020 scheme): -298.00 eV/cell
Size of the total moment: 0.06 μB/cell

Cell: 4.851 10.805 18.778 Å, 90.00 90.00 90.00°
Positions (direct):
Te 0.500 0.330 0.099
Te 0.500 0.829 0.189
Te 0.000 0.610 0.296
Te 0.500 0.171 0.811
Te 0.000 0.354 0.936
Te 0.000 0.146 0.436
Te 0.500 0.170 0.599
Te 0.000 0.890 0.796
Te 0.000 0.110 0.204
Te 0.000 0.854 0.564
Te 0.500 0.329 0.311
Te 0.000 0.646 0.064
Te 0.500 0.830 0.401
Te 0.500 0.671 0.689
Te 0.000 0.390 0.704
Te 0.500 0.670 0.901
Ta 0.000 0.899 0.111
Ta 0.500 0.791 0.038
Ta 0.000 0.194 0.059
Ta 0.000 0.399 0.389
Ta 0.000 0.694 0.441
Ta 0.000 0.101 0.889
Ta 0.500 0.709 0.538
Ta 0.000 0.601 0.611
Ta 0.000 0.806 0.941
Ta 0.500 0.934 0.880
Ta 0.500 0.434 0.620
Ta 0.500 0.566 0.380
Ta 0.500 0.066 0.120
Ta 0.500 0.291 0.462
Ta 0.500 0.209 0.962
Ta 0.000 0.306 0.559
Cr 0.250 0.500 0.500
Cr 0.750 0.000 0.000
Cr 0.250 0.000 0.000
Cr 0.750 0.500 0.500

***

No. 5
The following is a PBE calculation of ZrTaCr4 after structural relaxation, from the Materials Project.

Energy of formation: -0.4 eV/f.u.

Cell: 4.981 4.981 4.981 Å, 60.00 60.00 60.00°
Positions (direct):
Ta 0.250 0.250 0.250
Cr 0.625 0.625 0.126
Cr 0.625 0.625 0.625
Cr 0.625 0.126 0.625
Cr 0.126 0.625 0.625
Zr 0.000 0.000 0.000

***

No. 6
The following is a PBE calculation of CrTe3 after structural relaxation, from the Materials Project.

Energy of formation: -1.8 eV/f.u.
Corrected total energy (MP2020 scheme): -167.08 eV/cell

Cell: 11.478 8.194 11.673 Å, 62.39 90.00 90.00°
Positions (direct):
Te 0.324 0.748 0.235
Te 0.172 0.748 0.430
Te 0.672 0.252 0.070
Te 0.328 0.748 0.930
Te 0.382 0.197 0.270
Te 0.594 0.792 0.067
Te 0.554 0.297 0.403
Te 0.828 0.252 0.570
Te 0.618 0.803 0.730
Te 0.054 0.703 0.097
Te 0.094 0.208 0.433
Te 0.824 0.252 0.265
Te 0.946 0.297 0.903
Te 0.118 0.197 0.770
Te 0.176 0.748 0.735
Te 0.882 0.799 0.900
Te 0.382 0.201 0.600
Te 0.406 0.208 0.933
Te 0.882 0.803 0.230
Te 0.906 0.792 0.567
Te 0.446 0.703 0.597
Te 0.118 0.201 0.100
Te 0.618 0.799 0.400
Te 0.676 0.252 0.765
Cr 0.500 0.002 0.826
Cr 0.716 0.022 0.493
Cr 0.000 0.002 0.326
Cr 0.000 0.998 0.674
Cr 0.216 0.978 0.007
Cr 0.284 0.978 0.507
Cr 0.784 0.022 0.993
Cr 0.500 0.998 0.174

***

No. 7
The following is a PBE calculation of Cr5Te6 after structural relaxation, from the Materials Project.

Energy of formation: -4.0 eV/f.u.
Corrected total energy (MP2020 scheme): -142.30 eV/cell
Size of the total moment: 36.00 μB/cell

Cell: 7.519 8.150 9.422 Å, 89.61 101.76 106.35°
Positions (direct):
Te 0.064 0.014 0.307
Te 0.286 0.819 0.025
Te 0.395 0.349 0.634
Te 0.605 0.651 0.366
Te 0.724 0.678 0.971
Te 0.957 0.484 0.691
Te 0.625 0.151 0.359
Te 0.936 0.986 0.693
Te 0.714 0.181 0.975
Te 0.276 0.322 0.029
Te 0.043 0.516 0.309
Te 0.375 0.849 0.641
Cr 0.680 0.905 0.175
Cr 0.337 0.832 0.338
Cr 0.663 0.168 0.662
Cr 0.000 0.000 0.000
Cr 0.345 0.574 0.826
Cr 0.019 0.248 0.501
Cr 0.320 0.095 0.825
Cr 0.655 0.426 0.174
Cr 0.000 0.500 0.000
Cr 0.981 0.752 0.499

***

No. 8
The following is a PBE calculation of Cr7Te8 after structural relaxation, from the Materials Project.

Energy of formation: -5.1 eV/f.u.
Corrected total energy (MP2020 scheme): -97.82 eV/cell
Size of the total moment: 25.88 μB/cell

Cell: 7.472 7.472 9.408 Å, 56.47 56.47 66.23°
Positions (direct):
Te 0.540 0.032 0.169
Te 0.035 0.035 0.668
Te 0.548 0.548 0.666
Te 0.460 0.968 0.831
Te 0.968 0.460 0.831
Te 0.032 0.540 0.169
Te 0.452 0.452 0.334
Te 0.965 0.965 0.332
Cr 0.000 0.000 0.000
Cr 0.264 0.264 0.990
Cr 0.733 0.267 0.500
Cr 0.736 0.736 0.010
Cr 0.267 0.733 0.500
Cr 0.000 0.500 0.500
Cr 0.500 0.000 0.500